[1]
DFT (PBE) results for a geometry-optimized ZnCu2SnS4 structure.

Summary:
- ΔH_f (0 K) (kJ/mol of atoms) = -68.3
- crystal system = tetragonal
- E (MP2020) (eV for the cell shown) = -71.4
- distance to the lowest polymorph of the same formula (meV/atom) = 0
- space-group type = No. 82

```
ZnCu2SnS4
1.0
5.4635 0.0000 0.0000
0.0000 5.4635 0.0000
0.0000 0.0000 10.9042
Zn Cu Sn S
2 4 2 8
direct
0.0000 0.0000 0.0000
0.5000 0.5000 0.5000
0.0000 0.0000 0.5000
0.0000 0.5000 0.7500
0.5000 0.0000 0.2500
0.5000 0.5000 0.0000
0.0000 0.5000 0.2500
0.5000 0.0000 0.7500
0.2337 0.2577 0.6208
0.2423 0.7337 0.8792
0.2577 0.7663 0.3792
0.2663 0.2423 0.1208
0.7337 0.7577 0.1208
0.7423 0.2337 0.3792
0.7577 0.2663 0.8792
0.7663 0.7423 0.6208
```


[2]
DFT (PBE) results for a geometry-optimized Na6Mg4Ta8Si9S9O72 structure.

Summary:
- ΔH_f (0 K) (kJ/mol of atoms) = -261.4
- crystal system = triclinic
- E (MP2020) (eV for the cell shown) = -844.1
- space-group type = No. 1

```
Na6Mg4Ta8Si9S9O72
1.0
8.8243 0.0000 0.0000
-4.3887 7.6564 0.0000
-0.0331 -0.0548 22.8071
Na Mg Ta Si S O
6 4 8 9 9 72
direct
0.0000 0.0000 0.0000
0.0043 0.0095 0.4864
0.3372 0.6499 0.1487
0.3585 0.6737 0.6468
0.6603 0.3410 0.8268
0.6713 0.3336 0.3192
0.0049 0.0053 0.3408
0.0105 0.9931 0.8467
0.3380 0.6576 0.0204
0.3510 0.6710 0.5177
0.0033 0.9921 0.6391
0.3387 0.6609 0.3009
0.3475 0.6708 0.8046
0.6539 0.3239 0.6825
0.6616 0.3201 0.4733
0.6828 0.3413 0.9780
0.6849 0.3477 0.1844
0.9936 0.9976 0.1448
0.0060 0.7231 0.2495
0.2872 0.0001 0.7494
0.2898 0.2740 0.2479
0.3747 0.3332 0.5772
0.6722 0.0426 0.5781
0.6779 0.6354 0.0793
0.7224 0.0083 0.2500
0.7289 0.7144 0.7481
0.9708 0.3342 0.0795
0.0069 0.2876 0.7460
0.0516 0.6642 0.9132
0.0535 0.3835 0.4151
0.3338 0.9490 0.4141
0.3358 0.3745 0.9125
0.3844 0.0486 0.0763
0.6277 0.9579 0.9119
0.6316 0.6695 0.4139
0.9554 0.6177 0.5775
0.0246 0.2054 0.4124
0.0248 0.8143 0.9092
0.0398 0.2110 0.6923
0.0417 0.8394 0.1894
0.1286 0.6423 0.5717
0.1350 0.6414 0.8581
0.1363 0.4855 0.3608
0.1468 0.5127 0.0739
0.1525 0.4747 0.4673
0.1529 0.6743 0.9645
0.1668 0.1944 0.1885
0.1676 0.9701 0.6902
0.1693 0.4662 0.7529
0.1791 0.2025 0.9073
0.1805 0.6954 0.2568
0.1890 0.9833 0.4118
0.1938 0.1463 0.5857
0.2151 0.0437 0.0776
0.2261 0.0513 0.8065
0.2266 0.1730 0.3073
0.3056 0.8203 0.7569
0.3115 0.4746 0.2548
0.3285 0.4665 0.9641
0.3296 0.8541 0.4668
0.3484 0.4964 0.5739
0.3564 0.4839 0.8574
0.3598 0.8711 0.3604
0.3691 0.8797 0.0667
0.4770 0.1634 0.0214
0.4822 0.3111 0.5201
0.4867 0.3153 0.2312
0.4890 0.1327 0.1286
0.4915 0.1553 0.7348
0.4968 0.8629 0.5746
0.4981 0.3514 0.6350
0.4993 0.3587 0.9130
0.5063 0.1339 0.4173
0.5163 0.6637 0.0726
0.5172 0.8635 0.8565
0.5223 0.6802 0.7552
0.5243 0.6423 0.3601
0.5286 0.8256 0.2578
0.5387 0.8549 0.9628
0.5421 0.6786 0.4664
0.6313 0.1310 0.9114
0.6484 0.5031 0.4181
0.6570 0.5070 0.1333
0.6747 0.1596 0.6344
0.6759 0.1592 0.2324
0.6968 0.5265 0.0189
0.7033 0.5197 0.7346
0.7045 0.1696 0.5195
0.8027 0.9637 0.1901
0.8048 0.9869 0.9050
0.8071 0.8206 0.4107
0.8094 0.8359 0.6884
0.8302 0.7918 0.8067
0.8324 0.0541 0.3080
0.8411 0.3039 0.0184
0.8443 0.5353 0.5246
0.8481 0.5209 0.2355
0.8508 0.3339 0.1332
0.8516 0.0307 0.5861
0.8608 0.3230 0.7362
0.8673 0.8129 0.0828
0.8702 0.4953 0.9148
0.8725 0.5184 0.6312
0.8729 0.3735 0.4184
0.9635 0.7939 0.5822
0.9647 0.7873 0.3081
0.9737 0.1841 0.7985
0.9820 0.1555 0.0826
```


[3]
DFT (PBE) results for a geometry-optimized SbH3C2O4F6 structure.

Summary:
- ΔH_f (0 K) (kJ/mol of atoms) = -184.6
- crystal system = monoclinic
- E (MP2020) (eV for the cell shown) = -189.3
- space-group type = No. 9

```
SbH3C2O4F6
1.0
6.4974 -4.5730 0.0000
6.4974 4.5730 0.0000
-5.6561 0.0000 6.4809
Sb H C O F
2 6 4 8 12
direct
0.1444 0.8556 0.5000
0.8556 0.1444 0.0000
0.3846 0.3933 0.4683
0.3933 0.3846 0.9683
0.4336 0.9279 0.3874
0.6239 0.9005 0.0447
0.9005 0.6239 0.5447
0.9279 0.4336 0.8874
0.1603 0.4890 0.7945
0.4890 0.1603 0.2945
0.5241 0.9311 0.2194
0.9311 0.5241 0.7194
0.2360 0.5306 0.7292
0.2463 0.4134 0.9268
0.4134 0.2463 0.4268
0.4864 0.8399 0.2818
0.5306 0.2360 0.2292
0.5932 0.8224 0.0878
0.8224 0.5932 0.5878
0.8399 0.4864 0.7818
0.0026 0.3298 0.0431
0.0432 0.7570 0.2108
0.0749 0.9467 0.0046
0.2498 0.9588 0.7896
0.3298 0.0026 0.5431
0.3400 0.6321 0.4939
0.6321 0.3400 0.9939
0.7029 0.9537 0.9415
0.7570 0.0432 0.7108
0.9467 0.0749 0.5046
0.9537 0.7029 0.4415
0.9588 0.2498 0.2896
```


[4]
DFT (PBE) results for a geometry-optimized Al5O8 structure.

Summary:
- ΔH_f (0 K) (kJ/mol of atoms) = -304.3
- crystal system = cubic
- E (MP2020) (eV for the cell shown) = -99.3
- distance to the lowest polymorph of the same formula (meV/atom) = 78
- space-group type = No. 216

```
Al5O8
1.0
0.0000 3.9948 3.9948
3.9948 0.0000 3.9948
3.9948 3.9948 0.0000
Al O
5 8
direct
0.0000 0.0000 0.0000
0.1343 0.6219 0.6219
0.6219 0.1343 0.6219
0.6219 0.6219 0.1343
0.6219 0.6219 0.6219
0.3883 0.3883 0.3883
0.3883 0.3883 0.8350
0.3883 0.8350 0.3883
0.3992 0.8669 0.8669
0.8350 0.3883 0.3883
0.8669 0.3992 0.8669
0.8669 0.8669 0.3992
0.8669 0.8669 0.8669
```


[5]
DFT (PBE) results for a geometry-optimized Al2SiO5 structure.

Summary:
- ΔH_f (0 K) (kJ/mol of atoms) = -301.0
- crystal system = triclinic
- E (MP2020) (eV for the cell shown) = -250.5
- distance to the lowest polymorph of the same formula (meV/atom) = 255
- space-group type = No. 2

```
Al2SiO5
1.0
5.3326 0.0000 0.0000
1.5980 8.4199 0.0000
1.7447 2.6847 8.0117
Al Si O
8 4 20
direct
0.1154 0.3227 0.3312
0.2200 0.3280 0.6874
0.2620 0.5026 0.9471
0.3207 0.6855 0.1957
0.6793 0.3145 0.8043
0.7380 0.4974 0.0529
0.7800 0.6720 0.3126
0.8846 0.6773 0.6688
0.0209 0.0526 0.6648
0.4194 0.8914 0.4275
0.5806 0.1086 0.5725
0.9791 0.9474 0.3352
0.0036 0.1496 0.7994
0.0554 0.3755 0.1222
0.0877 0.5422 0.3238
0.1233 0.7913 0.4948
0.1997 0.0675 0.3189
0.3262 0.9644 0.6183
0.3464 0.2687 0.4858
0.3716 0.4577 0.7527
0.4004 0.6499 0.9983
0.4887 0.8273 0.2539
0.5113 0.1727 0.7461
0.5996 0.3501 0.0017
0.6284 0.5423 0.2473
0.6536 0.7313 0.5142
0.6738 0.0356 0.3817
0.8003 0.9325 0.6811
0.8767 0.2087 0.5052
0.9123 0.4578 0.6762
0.9446 0.6245 0.8778
0.9964 0.8504 0.2006
```


[6]
DFT (PBE) results for a geometry-optimized SrO10 structure.

Summary:
- ΔH_f (0 K) (kJ/mol of atoms) = -12.3
- crystal system = tetragonal
- E (MP2020) (eV for the cell shown) = -210.3
- distance to the lowest polymorph of the same formula (meV/atom) = 411
- space-group type = No. 130

```
SrO10
1.0
6.8444 0.0000 0.0000
0.0000 6.8444 0.0000
0.0000 0.0000 11.9798
Sr O
4 40
direct
0.2500 0.7500 0.2500
0.2500 0.7500 0.7500
0.7500 0.2500 0.2500
0.7500 0.2500 0.7500
0.0044 0.5977 0.0987
0.0044 0.9023 0.5987
0.0056 0.5889 0.8967
0.0056 0.9111 0.3967
0.0889 0.5056 0.6033
0.0889 0.9944 0.1033
0.0977 0.5044 0.4013
0.0977 0.9956 0.9013
0.2500 0.2500 0.1455
0.2500 0.2500 0.3808
0.2500 0.2500 0.6455
0.2500 0.2500 0.8808
0.4023 0.5044 0.9013
0.4023 0.9956 0.4013
0.4111 0.5056 0.1033
0.4111 0.9944 0.6033
0.4944 0.5889 0.3967
0.4944 0.9111 0.8967
0.4956 0.5977 0.5987
0.4956 0.9023 0.0987
0.5044 0.0977 0.9013
0.5044 0.4023 0.4013
0.5056 0.0889 0.1033
0.5056 0.4111 0.6033
0.5889 0.0056 0.3967
0.5889 0.4944 0.8967
0.5977 0.0044 0.5987
0.5977 0.4956 0.0987
0.7500 0.7500 0.1192
0.7500 0.7500 0.3545
0.7500 0.7500 0.6192
0.7500 0.7500 0.8545
0.9023 0.0044 0.0987
0.9023 0.4956 0.5987
0.9111 0.0056 0.8967
0.9111 0.4944 0.3967
0.9944 0.0889 0.6033
0.9944 0.4111 0.1033
0.9956 0.0977 0.4013
0.9956 0.4023 0.9013
```


[7]
DFT (PBE) results for a geometry-optimized Ca3Sn2S7 structure.

Summary:
- ΔH_f (0 K) (kJ/mol of atoms) = -140.6
- crystal system = monoclinic
- E (MP2020) (eV for the cell shown) = -241.9
- distance to the lowest polymorph of the same formula (meV/atom) = 67
- space-group type = No. 14

```
Ca3Sn2S7
1.0
10.5219 0.0000 0.0000
0.0000 6.6135 0.0000
-2.3643 0.0000 17.3262
Ca Sn S
12 8 28
direct
0.0085 0.2157 0.1176
0.0085 0.2843 0.6176
0.2478 0.2327 0.8290
0.2478 0.2673 0.3290
0.4600 0.2248 0.6215
0.4600 0.2752 0.1215
0.5400 0.7248 0.8785
0.5400 0.7752 0.3785
0.7522 0.7327 0.6710
0.7522 0.7673 0.1710
0.9915 0.7157 0.3824
0.9915 0.7843 0.8824
0.2274 0.7016 0.2020
0.2274 0.7984 0.7020
0.2914 0.7010 0.4986
0.2914 0.7990 0.9986
0.7086 0.2010 0.0014
0.7086 0.2990 0.5014
0.7726 0.2016 0.2980
0.7726 0.2984 0.7980
0.0494 0.5207 0.2430
0.0494 0.9793 0.7430
0.1507 0.0823 0.9670
0.1507 0.4177 0.4670
0.1774 0.5526 0.0696
0.1774 0.9474 0.5696
0.2473 0.0594 0.1808
0.2473 0.4406 0.6808
0.2659 0.6410 0.8713
0.2659 0.8590 0.3713
0.4177 0.5162 0.2516
0.4177 0.9838 0.7516
0.4874 0.2365 0.9525
0.4874 0.2635 0.4525
0.5126 0.7365 0.5475
0.5126 0.7635 0.0475
0.5823 0.0162 0.2484
0.5823 0.4838 0.7484
0.7341 0.1410 0.6287
0.7341 0.3590 0.1287
0.7527 0.5594 0.3192
0.7527 0.9406 0.8192
0.8226 0.0526 0.4304
0.8226 0.4474 0.9304
0.8493 0.5823 0.5330
0.8493 0.9177 0.0330
0.9506 0.0207 0.2570
0.9506 0.4793 0.7570
```


[8]
DFT (PBE) results for a geometry-optimized Rb3Sr structure.

Summary:
- ΔH_f (0 K) (kJ/mol of atoms) = 13.1
- crystal system = cubic
- distance to the lowest polymorph of the same formula (meV/atom) = 1
- space-group type = No. 221

```
Rb3Sr
1.0
6.8286 0.0000 0.0000
0.0000 6.8286 0.0000
0.0000 0.0000 6.8286
Rb Sr
3 1
direct
0.0000 0.0000 0.5000
0.0000 0.5000 0.0000
0.5000 0.0000 0.0000
0.5000 0.5000 0.5000
```